Record 1
BaV12S16 | PBE | relaxed

VASP energy: -7.195 eV/atom
calculated density: 4.4 g/cm³
ΔE_f: -1.37 eV per atom

a b c (Å): 9.7735 9.7735 9.2260
angles (deg): 61.96 61.96 38.73
Closest atoms and distances in Å follow each position.
Sites, in units of the cell vectors:
Ba  0.3750  0.3750  0.9993  9 S 3.06-3.38
V  0.9322  0.9322  0.5107  6 S 2.33-2.57
V  0.4322  0.4322  0.5138  6 S 2.30-2.55
V  0.1304  0.1304  0.3772  6 S 2.34-2.59
V  0.6320  0.6320  0.3693  6 S 2.30-2.53
V  0.0593  0.0593  0.1161  6 S 2.31-2.53
V  0.5637  0.5637  0.1129  6 S 2.33-2.59
V  0.0654  0.5718  0.4915  6 S 2.33-2.60
V  0.5718  0.0654  0.4915  6 S 2.33-2.60
V  0.8783  0.3630  0.6215  5 S 2.32-2.49
V  0.3630  0.8783  0.6215  5 S 2.32-2.49
V  0.9285  0.4433  0.8868  5 S 2.32-2.49
V  0.4433  0.9285  0.8868  5 S 2.32-2.49
S  0.5261  0.5261  0.6433  4 V 2.30-2.55
S  0.0211  0.0211  0.6544  4 V 2.32-2.57
S  0.7022  0.7022  0.0533  4 V 2.32-2.53
S  0.1970  0.1970  0.0545  3 V 2.31-2.35
S  0.4023  0.4023  0.3002  3 V 2.30-2.34
S  0.9017  0.9017  0.2942  4 V 2.33-2.53
S  0.4804  0.9791  0.3437  4 V 2.34-2.60
S  0.9791  0.4804  0.3437  4 V 2.34-2.60
S  0.2960  0.7973  0.9470  4 V 2.34-2.61
S  0.7973  0.2960  0.9470  4 V 2.34-2.61
S  0.6010  0.0958  0.7096  4 V 2.34-2.60
S  0.0958  0.6010  0.7096  4 V 2.34-2.60
S  0.7075  0.7075  0.6662  6 V 2.44-2.49
S  0.2091  0.2091  0.6674  6 V 2.45-2.49
S  0.2909  0.7922  0.3335  6 V 2.46-2.48
S  0.7922  0.2909  0.3335  6 V 2.46-2.48

=====

Record 2
Cs2BiAuF6 | PBE | relaxed

VASP energy: -4.160 eV/atom
calculated density: 5.9 g/cm³
ΔE_f: -2.39 eV per atom

a b c (Å): 6.7837 6.7837 6.7837
angles (deg): 60.00 60.00 60.00
Closest atoms and distances in Å follow each position.
Sites, in units of the cell vectors:
Cs  0.2500  0.2500  0.2500  12 F 3.39
Cs  0.7500  0.7500  0.7500  12 F 3.39
Bi  0.0000  0.0000  0.0000  6 F 2.28
Au  0.5000  0.5000  0.5000  6 F 2.52
F  0.2374  0.7626  0.2374  1 Bi 2.28, 1 Au 2.52
F  0.7626  0.7626  0.2374  1 Bi 2.28, 1 Au 2.52
F  0.7626  0.2374  0.7626  1 Bi 2.28, 1 Au 2.52
F  0.7626  0.2374  0.2374  1 Bi 2.28, 1 Au 2.52
F  0.2374  0.7626  0.7626  1 Bi 2.28, 1 Au 2.52
F  0.2374  0.2374  0.7626  1 Bi 2.28, 1 Au 2.52

=====

Record 3
Tl2SbF5 | PBE | relaxed

VASP energy: -4.406 eV/atom
calculated density: 6.4 g/cm³
ΔE_f: -2.39 eV per atom

a b c (Å): 7.9629 7.9629 6.8465
angles (deg): 90.00 90.00 131.30
Closest atoms and distances in Å follow each position.
Sites, in units of the cell vectors:
Tl  0.2485  0.7515  0.2500  10 F 3.01-3.30
Tl  0.7515  0.2485  0.7500  10 F 3.01-3.30
Tl  0.5697  0.4303  0.2500  5 F 2.74-2.89
Tl  0.4303  0.5697  0.7500  5 F 2.74-2.89
Sb  0.9065  0.0935  0.2500  5 F 2.00-2.13
Sb  0.0935  0.9065  0.7500  5 F 2.00-2.13
F  0.1099  0.3473  0.0363  1 Sb 2.13
F  0.8901  0.6527  0.9637  1 Sb 2.13
F  0.8901  0.6527  0.5363  1 Sb 2.13
F  0.6527  0.8901  0.4637  1 Sb 2.13
F  0.1099  0.3473  0.4637  1 Sb 2.13
F  0.3473  0.1099  0.5363  1 Sb 2.13
F  0.3473  0.1099  0.9637  1 Sb 2.13
F  0.6527  0.8901  0.0363  1 Sb 2.13
F  0.7688  0.2312  0.2500  1 Sb 2.00
F  0.2312  0.7688  0.7500  1 Sb 2.00

=====

Question: Which formula does entry 3 have?
Answer: Tl2SbF5

=====

Question: Which formula does entry 1 have?
Answer: BaV12S16

=====

Question: Which of these has the highest ΔE_f?
Answer: BaV12S16

=====

Question: Number 1 is which compound?
Answer: BaV12S16